Entry 1:
The following is a DFT calculation (PBE with a Hubbard U) of an optimized crystal structure of Li8MnO5F.

Cell and atoms, written as CIF:
```
data_Li8MnO5F
_space_group_name_H-M_alt 'P 1'
_space_group_IT_number 1
_space_group_name_Hall 'P 1'
_cell_length_a 5.528
_cell_length_b 5.582
_cell_length_c 10.998
_cell_angle_alpha 89.54
_cell_angle_beta 89.59
_cell_angle_gamma 61.86
loop_
_atom_site_label
_atom_site_type_symbol
_atom_site_fract_x
_atom_site_fract_y
_atom_site_fract_z
Li1 Li 0.688 0.025 0.271
Li2 Li 0.329 0.334 0.923
Li3 Li 0.613 0.368 0.122
O1 O 0.679 0.002 0.446
Mn1 Mn 0.993 0.006 0.982
O2 O 0.666 0.330 0.949
O3 O 0.331 0.989 0.948
Li4 Li 0.315 0.973 0.772
Li5 Li 0.019 0.291 0.272
O4 O 0.332 0.334 0.214
Li6 Li 0.979 0.714 0.772
O5 O 0.668 0.666 0.714
Li7 Li 0.337 0.328 0.412
Li8 Li 0.023 0.619 0.122
Li9 Li 0.645 0.979 0.622
Li10 Li 0.977 0.384 0.622
Li11 Li 0.709 0.312 0.773
Li12 Li 0.359 0.019 0.124
F1 F 0.664 0.669 0.211
Li13 Li 0.288 0.687 0.274
Li14 Li 0.665 0.669 0.424
Mn2 Mn 0.012 0.997 0.482
O6 O 0.324 0.664 0.450
F2 F 0.336 0.330 0.711
O7 O 0.981 0.337 0.448
O8 O 0.000 0.001 0.176
Li15 Li 0.665 0.667 0.912
Li16 Li 0.386 0.631 0.623
O9 O 0.004 0.003 0.675
O10 O 0.012 0.672 0.946
```

Summary:
Space group = No. 1
Energy relative to the elements = -2.1692 eV per atom

Entry 2:
The following is a DFT calculation (PBE with a Hubbard U) of an optimized crystal structure of TiCu2NiO4.

Cell and atoms, written as CIF:
```
data_TiCu2NiO4
_space_group_name_H-M_alt 'P 1'
_space_group_IT_number 1
_space_group_name_Hall 'P 1'
_cell_length_a 11.648
_cell_length_b 11.648
_cell_length_c 11.648
_cell_angle_alpha 14.90
_cell_angle_beta 14.90
_cell_angle_gamma 14.90
loop_
_atom_site_label
_atom_site_type_symbol
_atom_site_fract_x
_atom_site_fract_y
_atom_site_fract_z
Ni1 Ni 0.500 0.500 0.500
O1 O 0.697 0.697 0.697
Cu1 Cu 0.248 0.248 0.248
Ti1 Ti 0.000 0.000 0.000
O2 O 0.803 0.803 0.803
O3 O 0.197 0.197 0.197
O4 O 0.303 0.303 0.303
Cu2 Cu 0.752 0.752 0.752
```

Summary:
Space group = No. 166
Energy relative to the elements = -1.6615 eV per atom

Entry 3:
The following is a DFT calculation (PBE with a Hubbard U) of an optimized crystal structure of Mn4Nb2O9.

Cell and atoms, written as CIF:
```
data_Mn4Nb2O9
_space_group_name_H-M_alt 'P 1'
_space_group_IT_number 1
_space_group_name_Hall 'P 1'
_cell_length_a 5.731
_cell_length_b 5.731
_cell_length_c 13.421
_cell_angle_alpha 87.59
_cell_angle_beta 87.59
_cell_angle_gamma 56.22
loop_
_atom_site_label
_atom_site_type_symbol
_atom_site_fract_x
_atom_site_fract_y
_atom_site_fract_z
O1 O 0.653 0.403 0.758
Mn1 Mn 0.996 0.995 0.999
O2 O 0.574 0.939 0.797
O3 O 0.971 0.720 0.104
O4 O 0.899 0.273 0.133
O5 O 0.442 0.822 0.047
O6 O 0.323 0.056 0.423
O7 O 0.747 0.175 0.369
O8 O 0.720 0.971 0.604
Nb1 Nb 0.323 0.342 0.840
O9 O 0.572 0.259 0.956
Mn2 Mn 0.995 0.996 0.499
O10 O 0.175 0.747 0.869
O11 O 0.273 0.899 0.633
Mn3 Mn 0.626 0.612 0.405
O12 O 0.939 0.574 0.297
Nb2 Nb 0.662 0.674 0.662
O13 O 0.056 0.323 0.923
Nb3 Nb 0.342 0.323 0.340
O14 O 0.822 0.442 0.547
Mn4 Mn 0.962 0.952 0.238
O15 O 0.259 0.572 0.456
O16 O 0.484 0.101 0.214
Mn5 Mn 0.612 0.626 0.905
Mn6 Mn 0.293 0.292 0.074
Mn7 Mn 0.952 0.962 0.738
Mn8 Mn 0.292 0.293 0.574
O17 O 0.403 0.653 0.258
Nb4 Nb 0.674 0.662 0.162
O18 O 0.101 0.484 0.714
```

Summary:
Space group = No. 9
Energy relative to the elements = -2.5128 eV per atom

Entry 4:
The following is a DFT calculation (PBE with a Hubbard U) of an optimized crystal structure of LiCoPO4.

Cell and atoms, written as CIF:
```
data_LiCoPO4
_space_group_name_H-M_alt 'P 1'
_space_group_IT_number 1
_space_group_name_Hall 'P 1'
_cell_length_a 5.054
_cell_length_b 10.222
_cell_length_c 6.837
_cell_angle_alpha 90.00
_cell_angle_beta 90.00
_cell_angle_gamma 90.00
loop_
_atom_site_label
_atom_site_type_symbol
_atom_site_fract_x
_atom_site_fract_y
_atom_site_fract_z
O1 O 0.054 0.123 0.757
O2 O 0.130 0.343 0.067
Co1 Co 0.746 0.840 0.995
Li1 Li 0.745 0.350 0.002
Co2 Co 0.246 0.660 0.495
Li2 Li 0.244 0.150 0.502
Li3 Li 0.744 0.851 0.498
P1 P 0.750 0.097 0.757
P2 P 0.250 0.903 0.243
P3 P 0.750 0.597 0.743
O3 O 0.554 0.877 0.243
P4 P 0.250 0.403 0.257
O4 O 0.631 0.664 0.559
O5 O 0.054 0.623 0.743
O6 O 0.691 0.948 0.757
O7 O 0.631 0.164 0.941
O8 O 0.130 0.843 0.433
Li4 Li 0.244 0.649 0.998
O9 O 0.691 0.448 0.743
O10 O 0.191 0.552 0.257
O11 O 0.131 0.836 0.059
O12 O 0.131 0.336 0.441
Co3 Co 0.246 0.160 0.005
Co4 Co 0.746 0.340 0.505
O13 O 0.630 0.157 0.567
O14 O 0.630 0.657 0.933
O15 O 0.191 0.052 0.243
O16 O 0.554 0.377 0.257
```

Summary:
Space group = No. 33
Energy relative to the elements = -2.4025 eV per atom

Entry 5:
The following is a DFT calculation (PBE with a Hubbard U) of an optimized crystal structure of KCrC4O8.

Cell and atoms, written as CIF:
```
data_KCrC4O8
_space_group_name_H-M_alt 'P 1'
_space_group_IT_number 1
_space_group_name_Hall 'P 1'
_cell_length_a 5.726
_cell_length_b 7.952
_cell_length_c 13.713
_cell_angle_alpha 71.81
_cell_angle_beta 90.00
_cell_angle_gamma 90.00
loop_
_atom_site_label
_atom_site_type_symbol
_atom_site_fract_x
_atom_site_fract_y
_atom_site_fract_z
K1 K 0.830 0.000 0.750
C1 C 0.795 0.686 0.621
O1 O 0.140 0.288 0.982
O2 O 0.860 0.288 0.482
O3 O 0.668 0.738 0.677
C2 C 0.963 0.781 0.082
O4 O 0.239 0.448 0.414
O5 O 0.106 0.098 0.888
C3 C 0.205 0.314 0.379
O6 O 0.894 0.098 0.388
Cr1 Cr 0.000 0.500 0.500
C4 C 0.795 0.314 0.879
O7 O 0.761 0.448 0.914
C5 C 0.205 0.686 0.121
O8 O 0.140 0.712 0.518
O9 O 0.894 0.902 0.112
C6 C 0.037 0.219 0.918
O10 O 0.332 0.262 0.323
O11 O 0.332 0.738 0.177
K2 K 0.170 0.000 0.250
O12 O 0.239 0.552 0.086
O13 O 0.106 0.902 0.612
O14 O 0.668 0.262 0.823
Cr2 Cr 0.000 0.500 0.000
C7 C 0.037 0.781 0.582
O15 O 0.761 0.552 0.586
O16 O 0.860 0.712 0.018
C8 C 0.963 0.219 0.418
```

Summary:
Space group = No. 13
Energy relative to the elements = -1.6273 eV per atom

Entry 6:
The following is a DFT calculation (PBE with a Hubbard U) of an optimized crystal structure of TiNi5B2O10.

Cell and atoms, written as CIF:
```
data_TiNi5B2O10
_space_group_name_H-M_alt 'P 1'
_space_group_IT_number 1
_space_group_name_Hall 'P 1'
_cell_length_a 3.023
_cell_length_b 9.307
_cell_length_c 12.356
_cell_angle_alpha 90.00
_cell_angle_beta 90.00
_cell_angle_gamma 90.00
loop_
_atom_site_label
_atom_site_type_symbol
_atom_site_fract_x
_atom_site_fract_y
_atom_site_fract_z
O1 O 0.000 0.906 0.761
O2 O 0.500 0.639 0.425
Ti1 Ti 0.000 0.010 0.614
O3 O 0.500 0.876 0.577
O4 O 0.000 0.400 0.737
O5 O 0.000 0.874 0.359
Ni1 Ni 0.500 0.259 0.785
O6 O 0.000 0.375 0.140
O7 O 0.000 0.625 0.640
B1 B 0.000 0.474 0.640
Ni2 Ni 0.500 0.741 0.285
O8 O 0.500 0.646 0.857
O9 O 0.500 0.361 0.925
O10 O 0.000 0.398 0.544
O11 O 0.000 0.905 0.959
O12 O 0.000 0.602 0.044
B2 B 0.000 0.526 0.140
Ni3 Ni 0.500 0.740 0.997
Ni4 Ni 0.000 0.260 0.997
O13 O 0.000 0.094 0.261
B3 B 0.000 0.020 0.360
Ni5 Ni 0.500 0.260 0.497
Ni6 Ni 0.500 0.260 0.220
O14 O 0.500 0.864 0.145
Ni7 Ni 0.000 0.512 0.885
O15 O 0.000 0.600 0.237
B4 B 0.000 0.980 0.860
O16 O 0.500 0.136 0.645
Ni8 Ni 0.000 0.740 0.497
Ti2 Ti 0.000 0.990 0.114
O17 O 0.000 0.095 0.459
O18 O 0.000 0.126 0.859
O19 O 0.500 0.124 0.077
Ni9 Ni 0.500 0.740 0.720
O20 O 0.500 0.354 0.357
Ni10 Ni 0.000 0.488 0.385
```

Summary:
Space group = No. 26
Energy relative to the elements = -2.0303 eV per atom

Entry 7:
The following is a DFT calculation (PBE with a Hubbard U) of an optimized crystal structure of Li2TiCo2O6.

Cell and atoms, written as CIF:
```
data_Li2TiCo2O6
_space_group_name_H-M_alt 'P 1'
_space_group_IT_number 1
_space_group_name_Hall 'P 1'
_cell_length_a 5.122
_cell_length_b 5.122
_cell_length_c 10.046
_cell_angle_alpha 90.00
_cell_angle_beta 90.00
_cell_angle_gamma 119.66
loop_
_atom_site_label
_atom_site_type_symbol
_atom_site_fract_x
_atom_site_fract_y
_atom_site_fract_z
O1 O 0.673 0.010 0.108
Li1 Li 0.658 0.158 0.750
Ti1 Ti 0.500 0.500 0.500
O2 O 0.173 0.510 0.392
Ti2 Ti 0.000 0.000 0.000
O3 O 0.322 0.322 0.099
Li2 Li 0.158 0.658 0.750
O4 O 0.822 0.822 0.401
O5 O 0.327 0.990 0.892
O6 O 0.178 0.178 0.599
O7 O 0.510 0.173 0.392
O8 O 0.990 0.327 0.892
Co1 Co 0.663 0.337 0.000
Li3 Li 0.342 0.842 0.250
O9 O 0.827 0.490 0.608
Co2 Co 0.163 0.837 0.500
O10 O 0.010 0.673 0.108
Co3 Co 0.837 0.163 0.500
Li4 Li 0.842 0.342 0.250
Co4 Co 0.337 0.663 0.000
O11 O 0.490 0.827 0.608
O12 O 0.678 0.678 0.901
```

Summary:
Space group = No. 64
Energy relative to the elements = -2.1145 eV per atom

Entry 8:
The following is a DFT calculation (PBE with a Hubbard U) of an optimized crystal structure of Li9V2P4HO18.

Cell and atoms, written as CIF:
```
data_Li9V2P4HO18
_space_group_name_H-M_alt 'P 1'
_space_group_IT_number 1
_space_group_name_Hall 'P 1'
_cell_length_a 10.717
_cell_length_b 10.717
_cell_length_c 10.717
_cell_angle_alpha 142.57
_cell_angle_beta 97.33
_cell_angle_gamma 94.49
loop_
_atom_site_label
_atom_site_type_symbol
_atom_site_fract_x
_atom_site_fract_y
_atom_site_fract_z
P1 P 0.747 0.609 0.638
Li1 Li 0.736 0.117 0.118
P2 P 0.030 0.889 0.641
O1 O 0.202 0.446 0.883
Li2 Li 0.999 0.617 0.882
O2 O 0.452 0.173 0.779
O3 O 0.291 0.556 0.606
O4 O 0.058 0.827 0.731
O5 O 0.291 0.185 0.235
Li3 Li 0.504 0.004 0.500
O6 O 0.448 0.646 0.923
O7 O 0.331 0.493 0.339
O8 O 0.949 0.056 0.765
Li4 Li 0.486 0.744 0.721
O9 O 0.047 0.354 0.569
P3 P 0.245 0.615 0.130
O10 O 0.307 0.243 0.564
P4 P 0.525 0.891 0.134
O11 O 0.949 0.685 0.394
O12 O 0.785 0.854 0.807
O13 O 0.679 0.743 0.436
V1 V 0.245 0.998 0.241
O14 O 0.843 0.089 0.255
P5 P 0.757 0.391 0.866
Li5 Li 0.023 0.244 0.758
Li6 Li 0.504 0.504 0.000
H1 H 0.584 0.689 0.394
O15 O 0.665 0.407 0.758
P6 P 0.971 0.109 0.362
O16 O 0.723 0.146 0.698
O17 O 0.205 0.758 0.948
Li7 Li 0.272 0.272 0.000
Li8 Li 0.748 0.248 0.500
O18 O 0.154 0.993 0.661
P7 P 0.485 0.115 0.870
O19 O 0.943 0.020 0.423
O20 O 0.162 0.510 0.152
H2 H 0.295 0.189 0.606
Li9 Li 0.023 0.765 0.279
Li10 Li 0.241 0.876 0.864
Li11 Li 0.501 0.379 0.622
Li12 Li 0.990 0.990 0.000
O21 O 0.649 0.907 0.242
O22 O 0.785 0.478 0.431
Li13 Li 0.748 0.748 0.000
O23 O 0.395 0.673 0.221
V2 V 0.245 0.505 0.747
O24 O 0.096 0.327 0.269
O25 O 0.834 0.589 0.745
O26 O 0.558 0.982 0.077
O27 O 0.723 0.525 0.077
O28 O 0.359 0.010 0.848
O29 O 0.905 0.482 0.923
Li14 Li 0.272 0.772 0.500
O30 O 0.047 0.978 0.193
Li15 Li 0.486 0.265 0.242
V3 V 0.757 0.005 0.759
Li16 Li 0.990 0.490 0.500
P8 P 0.248 0.389 0.359
O31 O 0.810 0.258 0.052
Li17 Li 0.758 0.879 0.378
Li18 Li 0.012 0.376 0.136
O32 O 0.562 0.319 0.117
O33 O 0.562 0.946 0.744
O34 O 0.448 0.025 0.302
O35 O 0.202 0.819 0.256
V4 V 0.757 0.498 0.253
O36 O 0.597 0.520 0.577
```

Summary:
Space group = No. 46
Energy relative to the elements = -2.5820 eV per atom

Entry 9:
The following is a DFT calculation (PBE with a Hubbard U) of an optimized crystal structure of Co3P2H16O16.

Cell and atoms, written as CIF:
```
data_Co3P2H16O16
_space_group_name_H-M_alt 'P 1'
_space_group_IT_number 1
_space_group_name_Hall 'P 1'
_cell_length_a 8.396
_cell_length_b 8.396
_cell_length_c 4.702
_cell_angle_alpha 81.06
_cell_angle_beta 81.06
_cell_angle_gamma 105.85
loop_
_atom_site_label
_atom_site_type_symbol
_atom_site_fract_x
_atom_site_fract_y
_atom_site_fract_z
Co1 Co 0.000 0.000 0.000
O1 O 0.156 0.156 0.619
Co2 Co 0.610 0.390 0.000
H1 H 0.948 0.686 0.944
H2 H 0.173 0.561 0.476
H3 H 0.561 0.173 0.476
H4 H 0.827 0.439 0.524
H5 H 0.314 0.052 0.056
O2 O 0.979 0.212 0.203
O3 O 0.383 0.830 0.725
H6 H 0.825 0.264 0.720
O4 O 0.606 0.606 0.713
O5 O 0.212 0.979 0.203
O6 O 0.560 0.756 0.232
O7 O 0.394 0.394 0.287
O8 O 0.756 0.560 0.232
O9 O 0.244 0.440 0.768
Co3 Co 0.390 0.610 0.000
O10 O 0.788 0.021 0.797
H7 H 0.204 0.042 0.367
H8 H 0.439 0.827 0.524
P1 P 0.313 0.313 0.615
H9 H 0.686 0.948 0.944
P2 P 0.687 0.687 0.385
O11 O 0.021 0.788 0.797
H10 H 0.175 0.736 0.280
H11 H 0.052 0.314 0.056
O12 O 0.844 0.844 0.381
O13 O 0.440 0.244 0.768
H12 H 0.736 0.175 0.280
H13 H 0.042 0.204 0.367
H14 H 0.264 0.825 0.720
O14 O 0.830 0.383 0.725
O15 O 0.170 0.617 0.275
H15 H 0.958 0.796 0.633
O16 O 0.617 0.170 0.275
H16 H 0.796 0.958 0.633
```

Summary:
Space group = No. 12
Energy relative to the elements = -1.5713 eV per atom

Entry 10:
The following is a DFT calculation (PBE with a Hubbard U) of an optimized crystal structure of MnZnBiO5.

Cell and atoms, written as CIF:
```
data_MnZnBiO5
_space_group_name_H-M_alt 'P 1'
_space_group_IT_number 1
_space_group_name_Hall 'P 1'
_cell_length_a 5.322
_cell_length_b 10.750
_cell_length_c 15.267
_cell_angle_alpha 90.00
_cell_angle_beta 90.00
_cell_angle_gamma 90.00
loop_
_atom_site_label
_atom_site_type_symbol
_atom_site_fract_x
_atom_site_fract_y
_atom_site_fract_z
O1 O 0.362 0.303 0.976
O2 O 0.303 0.782 0.854
O3 O 0.684 0.456 0.444
O4 O 0.197 0.282 0.146
O5 O 0.862 0.697 0.524
Mn1 Mn 0.534 0.396 0.907
Bi1 Bi 0.491 0.644 0.775
Mn2 Mn 0.466 0.104 0.407
O6 O 0.803 0.718 0.854
O7 O 0.666 0.979 0.381
O8 O 0.166 0.521 0.381
O9 O 0.803 0.218 0.646
O10 O 0.581 0.835 0.698
O11 O 0.138 0.803 0.024
O12 O 0.316 0.044 0.944
Bi2 Bi 0.009 0.644 0.275
Mn3 Mn 0.966 0.396 0.407
O13 O 0.638 0.697 0.024
Mn4 Mn 0.034 0.104 0.907
O14 O 0.166 0.021 0.119
O15 O 0.303 0.282 0.646
Zn1 Zn 0.021 0.360 0.042
O16 O 0.334 0.021 0.619
Bi3 Bi 0.509 0.856 0.275
Zn2 Zn 0.479 0.360 0.542
O17 O 0.138 0.303 0.476
O18 O 0.919 0.335 0.302
Zn3 Zn 0.521 0.140 0.042
O19 O 0.419 0.165 0.302
O20 O 0.184 0.544 0.056
O21 O 0.419 0.665 0.198
O22 O 0.081 0.165 0.802
O23 O 0.919 0.835 0.198
Zn4 Zn 0.521 0.640 0.458
Mn5 Mn 0.966 0.896 0.093
Bi4 Bi 0.491 0.144 0.725
Zn5 Zn 0.021 0.860 0.458
O24 O 0.816 0.456 0.944
O25 O 0.316 0.544 0.556
O26 O 0.184 0.044 0.444
Bi5 Bi 0.991 0.856 0.775
O27 O 0.834 0.979 0.881
O28 O 0.362 0.803 0.524
Mn6 Mn 0.534 0.896 0.593
Bi6 Bi 0.009 0.144 0.225
O29 O 0.697 0.218 0.146
O30 O 0.334 0.521 0.881
Zn6 Zn 0.979 0.140 0.542
Zn7 Zn 0.479 0.860 0.958
O31 O 0.684 0.956 0.056
Bi7 Bi 0.509 0.356 0.225
O32 O 0.581 0.335 0.802
O33 O 0.834 0.479 0.619
O34 O 0.697 0.718 0.354
Mn7 Mn 0.466 0.604 0.093
Bi8 Bi 0.991 0.356 0.725
Mn8 Mn 0.034 0.604 0.593
O35 O 0.666 0.479 0.119
O36 O 0.862 0.197 0.976
Zn8 Zn 0.979 0.640 0.958
O37 O 0.816 0.956 0.556
O38 O 0.638 0.197 0.476
O39 O 0.197 0.782 0.354
O40 O 0.081 0.665 0.698
```

Summary:
Space group = No. 61
Energy relative to the elements = -1.5008 eV per atom